First-principles (GGA+U) data for MgZn2Fe4O8 after structural relaxation, as listed in the Materials Project.

Results
SG: C2/m, No. 12
Offset from the most stable computed form in meV/atom: 189
DFT total energy in eV/cell: -85.71

Cell: 5.946 5.946 6.836 Å, 124.25 124.25 59.57°
Sites, in units of the cell vectors:
Mg: 0.000 0.000 0.000
Zn: 0.500 0.500 0.000
Zn: 0.500 0.500 0.500
Fe: 0.000 0.500 0.500
Fe: 0.239 0.239 0.972
Fe: 0.500 0.000 0.500
Fe: 0.761 0.761 0.028
O: 0.184 0.677 0.159
O: 0.250 0.250 0.698
O: 0.255 0.255 0.281
O: 0.323 0.816 0.841
O: 0.677 0.184 0.159
O: 0.745 0.745 0.719
O: 0.750 0.750 0.302
O: 0.816 0.323 0.841



First-principles (GGA+U) data for MgZn2Fe4O8 after structural relaxation, as listed in the Materials Project.

Results
SG: P1, No. 1
Offset from the most stable computed form in meV/atom: 35
DFT total energy in eV/cell: -88.01

Cell: 6.016 6.160 6.285 Å, 117.92 118.53 90.63°
Sites, in units of the cell vectors:
Mg: 0.000 0.000 0.000
Zn: 0.054 0.778 0.563
Zn: 0.272 0.292 0.563
Fe: 0.507 0.802 0.587
Fe: 0.576 0.317 0.168
Fe: 0.584 0.858 0.178
Fe: 0.944 0.442 0.890
O: 0.332 0.565 0.152
O: 0.355 0.093 0.739
O: 0.361 0.656 0.735
O: 0.382 0.141 0.256
O: 0.808 0.565 0.143
O: 0.833 0.068 0.682
O: 0.841 0.620 0.684
O: 0.860 0.139 0.243



First-principles (GGA+U) data for MgZn2Fe4O8 after structural relaxation, as listed in the Materials Project.

Results
SG: R3m, No. 160
Offset from the most stable computed form in meV/atom: 41
DFT total energy in eV/cell: -87.91

Cell: 6.340 6.340 6.340 Å, 56.35 56.35 56.35°
Sites, in units of the cell vectors:
Mg: 0.000 0.000 0.000
Zn: 0.511 0.511 0.511
Zn: 0.850 0.850 0.850
Fe: 0.007 0.505 0.505
Fe: 0.155 0.155 0.155
Fe: 0.505 0.007 0.505
Fe: 0.505 0.505 0.007
O: 0.249 0.249 0.765
O: 0.249 0.765 0.249
O: 0.257 0.760 0.760
O: 0.270 0.270 0.270
O: 0.735 0.735 0.735
O: 0.760 0.257 0.760
O: 0.760 0.760 0.257
O: 0.765 0.249 0.249



So what do the calculations give for calculated formation energy? Going down the list: -1509; -1663; -1657 meV/atom.